Record 1
First-principles (GGA-PBE) data for crystalline ErNiGe2 at its relaxed geometry, as listed in the Materials Project.

a = 8.588 Å, b = 8.588 Å, c = 4.187 Å
α = 90.00°, β = 90.00°, γ = 152.55°
Sites, in units of the cell vectors:
Er 0.108 0.892 0.750
Er 0.892 0.108 0.250
Ni 0.322 0.678 0.750
Ni 0.678 0.322 0.250
Ge 0.253 0.747 0.250
Ge 0.459 0.541 0.750
Ge 0.541 0.459 0.250
Ge 0.747 0.253 0.750

Calculated values
- Total magnetization: 0.00 μB/cell
- Calculated formation energy: -0.6676 eV/atom

***

Record 2
First-principles (GGA-PBE) data for crystalline Er2GeO5 at its relaxed geometry, as listed in the Materials Project.

a = 8.000 Å, b = 8.000 Å, c = 11.275 Å
α = 93.27°, β = 93.27°, γ = 88.85°
Sites, in units of the cell vectors:
Er 0.128 0.846 0.572
Er 0.140 0.498 0.752
Er 0.154 0.872 0.928
Er 0.202 0.494 0.063
Er 0.494 0.202 0.563
Er 0.498 0.140 0.252
Er 0.502 0.860 0.748
Er 0.506 0.798 0.437
Er 0.798 0.506 0.937
Er 0.846 0.128 0.072
Er 0.860 0.502 0.248
Er 0.872 0.154 0.428
Ge 0.141 0.859 0.250
Ge 0.225 0.436 0.454
Ge 0.436 0.225 0.954
Ge 0.564 0.775 0.046
Ge 0.775 0.564 0.546
Ge 0.859 0.141 0.750
O 0.026 0.378 0.392
O 0.043 0.622 0.923
O 0.043 0.940 0.382
O 0.060 0.957 0.118
O 0.099 0.642 0.221
O 0.241 0.759 0.750
O 0.263 0.358 0.601
O 0.272 0.651 0.461
O 0.313 0.383 0.884
O 0.349 0.728 0.039
O 0.358 0.263 0.101
O 0.358 0.901 0.279
O 0.378 0.026 0.892
O 0.378 0.957 0.577
O 0.383 0.313 0.384
O 0.617 0.687 0.616
O 0.622 0.043 0.423
O 0.622 0.974 0.108
O 0.642 0.099 0.721
O 0.642 0.737 0.899
O 0.651 0.272 0.961
O 0.687 0.617 0.116
O 0.728 0.349 0.539
O 0.737 0.642 0.399
O 0.759 0.241 0.250
O 0.901 0.358 0.779
O 0.940 0.043 0.882
O 0.957 0.060 0.618
O 0.957 0.378 0.077
O 0.974 0.622 0.608

Calculated values
- Total energy after the MP2020 corrections: -8.20 eV/atom
- Energy above the most stable polymorph in this dataset: 0.000 eV per atom
- Calculated formation energy: -3.3925 eV/atom

***

Record 3
First-principles (GGA-PBE) data for crystalline Er2GeO5 at its relaxed geometry, as listed in the Materials Project.

a = 9.237 Å, b = 7.004 Å, c = 6.734 Å
α = 90.00°, β = 104.51°, γ = 90.00°
Sites, in units of the cell vectors:
Er 0.028 0.128 0.229
Er 0.028 0.372 0.729
Er 0.364 0.136 0.042
Er 0.364 0.364 0.542
Er 0.636 0.636 0.458
Er 0.636 0.864 0.958
Er 0.972 0.628 0.271
Er 0.972 0.872 0.771
Ge 0.302 0.593 0.026
Ge 0.302 0.907 0.526
Ge 0.698 0.093 0.474
Ge 0.698 0.407 0.974
O 0.105 0.637 0.991
O 0.105 0.863 0.491
O 0.110 0.115 0.931
O 0.110 0.385 0.431
O 0.283 0.087 0.326
O 0.283 0.413 0.826
O 0.392 0.698 0.490
O 0.392 0.802 0.990
O 0.393 0.065 0.722
O 0.393 0.435 0.222
O 0.607 0.565 0.778
O 0.607 0.935 0.278
O 0.608 0.198 0.010
O 0.608 0.302 0.510
O 0.717 0.587 0.174
O 0.717 0.913 0.674
O 0.890 0.615 0.569
O 0.890 0.885 0.069
O 0.895 0.137 0.509
O 0.895 0.363 0.009

Calculated values
- Total energy after the MP2020 corrections: -8.18 eV/atom
- Energy above the most stable polymorph in this dataset: 0.024 eV per atom
- Total magnetization: 0.00 μB/cell
- Calculated formation energy: -3.3684 eV/atom